Density functional theory data (PBE-GGA) for LaTaSiS2O12 after structural relaxation.

- Magnetic moment: 0.00 μB/f.u.
- Formation energy: -2.70 eV/atom

Cell: 9.2503 9.3076 22.6213 Å, 89.67 90.00 119.80°
With the nearest neighbours (Å) after each atom.
Fractional coordinates of all 102 atoms:
La (0.9925, 0.0148, 0.3747)  2 O 2.15-2.18
La (0.0224, 0.0148, 0.8747)  2 O 2.15-2.18
La (0.6687, 0.3331, 0.7076)  5 O 2.22-2.47
La (0.6645, 0.3331, 0.2076)  5 O 2.22-2.47
La (0.3311, 0.6663, 0.0416)  3 O 2.19-2.42
La (0.3352, 0.6663, 0.5416)  3 O 2.19-2.42
Ta (0.9985, 0.0128, 0.6440)  3 O 1.85-2.06
Ta (0.0144, 0.0128, 0.1440)  3 O 1.85-2.06
Ta (0.6581, 0.3253, 0.9770)  3 O 1.85-2.05
Ta (0.6673, 0.3253, 0.4770)  3 O 1.85-2.05
Ta (0.3331, 0.6680, 0.3111)  6 O 1.91-2.10
Ta (0.3349, 0.6680, 0.8111)  6 O 1.91-2.10
Si (0.0417, 0.2986, 0.2499)  4 O 1.59-1.72
Si (0.2568, 0.2986, 0.7499)  4 O 1.59-1.72
Si (0.9220, 0.2968, 0.5844)  4 O 1.58-1.71
Si (0.3748, 0.2968, 0.0844)  4 O 1.58-1.71
Si (0.3813, 0.9585, 0.9181)  4 O 1.59-1.72
Si (0.5772, 0.9585, 0.4181)  4 O 1.59-1.72
S (0.2464, 0.9443, 0.2494)  4 O 1.44-1.53
S (0.7012, 0.7475, 0.2504)  4 O 1.45-1.54
S (0.0464, 0.7475, 0.7504)  4 O 1.45-1.54
S (0.6979, 0.9443, 0.7494)  4 O 1.44-1.53
S (0.3635, 0.0836, 0.5816)  4 O 1.45-1.53
S (0.7205, 0.6357, 0.5830)  4 O 1.45-1.52
S (0.9152, 0.6357, 0.0830)  4 O 1.45-1.52
S (0.7201, 0.0836, 0.0816)  4 O 1.45-1.53
S (0.5886, 0.6207, 0.9149)  4 O 1.44-1.53
S (0.0337, 0.4200, 0.9155)  4 O 1.45-1.52
S (0.3864, 0.4200, 0.4155)  4 O 1.45-1.52
S (0.0320, 0.6207, 0.4149)  4 O 1.44-1.53
O (0.1853, 0.9819, 0.3026)  1 S 1.44
O (0.8015, 0.8071, 0.3036)  1 S 1.45
O (0.0052, 0.1832, 0.3065)  1 Si 1.59
O (0.1780, 0.1832, 0.8065)  1 Si 1.59
O (0.0056, 0.8071, 0.8036)  1 S 1.45
O (0.7966, 0.9819, 0.8026)  1 S 1.44
O (0.7873, 0.9185, 0.6976)  1 S 1.52
O (0.1228, 0.1919, 0.6933)  1 Si 1.72, 1 Ta 1.86
O (0.0682, 0.8556, 0.6980)  1 S 1.50
O (0.7874, 0.8556, 0.1980)  1 S 1.50
O (0.0691, 0.1919, 0.1933)  1 Si 1.72, 1 Ta 1.86
O (0.1313, 0.9185, 0.1976)  1 S 1.52
O (0.8428, 0.3275, 0.6416)  1 Si 1.58
O (0.4628, 0.1426, 0.6346)  1 S 1.45
O (0.6785, 0.5318, 0.6356)  1 S 1.45
O (0.8533, 0.5318, 0.1356)  1 S 1.45
O (0.6799, 0.1426, 0.1346)  1 S 1.45
O (0.4847, 0.3275, 0.1416)  1 Si 1.58
O (0.4783, 0.2705, 0.0268)  1 Si 1.71, 1 Ta 1.86
O (0.8095, 0.5491, 0.0301)  1 S 1.51
O (0.7505, 0.2023, 0.0302)  1 S 1.53
O (0.4518, 0.2023, 0.5302)  1 S 1.53
O (0.7396, 0.5491, 0.5301)  1 S 1.51
O (0.7921, 0.2705, 0.5268)  1 Si 1.71, 1 Ta 1.86
O (0.5278, 0.6536, 0.9690)  1 S 1.44
O (0.1404, 0.4701, 0.9672)  1 S 1.45
O (0.3568, 0.8508, 0.9758)  1 Si 1.59
O (0.4940, 0.8508, 0.4758)  1 Si 1.59
O (0.3297, 0.4701, 0.4672)  1 S 1.45
O (0.1258, 0.6536, 0.4690)  1 S 1.44
O (0.1205, 0.5880, 0.3642)  1 S 1.53
O (0.4542, 0.8598, 0.3601)  1 Si 1.68
O (0.4099, 0.5359, 0.3639)  1 S 1.52
O (0.1260, 0.5359, 0.8639)  1 S 1.52
O (0.4056, 0.8598, 0.8601)  1 Si 1.68
O (0.4674, 0.5880, 0.8642)  1 S 1.53
O (0.9969, 0.7515, 0.3985)  1 S 1.45
O (0.7663, 0.0055, 0.4075)  1 Si 1.60
O (0.2714, 0.2488, 0.3991)  1 S 1.46
O (0.9775, 0.2488, 0.8991)  1 S 1.46
O (0.2393, 0.0055, 0.9075)  1 Si 1.60
O (0.7545, 0.7515, 0.8985)  1 S 1.45
O (0.9138, 0.1108, 0.5942)  1 Si 1.71, 1 Ta 1.85
O (0.1998, 0.0839, 0.5890)  1 S 1.52
O (0.8856, 0.7929, 0.5925)  1 S 1.52
O (0.9073, 0.7929, 0.0925)  1 S 1.52
O (0.8840, 0.0839, 0.0890)  1 S 1.52
O (0.1971, 0.1108, 0.0942)  1 Si 1.71, 1 Ta 1.85
O (0.6497, 0.0671, 0.7350)  1 S 1.45
O (0.4407, 0.3435, 0.7315)  1 Si 1.59
O (0.9223, 0.5751, 0.7392)  1 S 1.46
O (0.6528, 0.5751, 0.2392)  1 S 1.46
O (0.9028, 0.3435, 0.2315)  1 Si 1.59
O (0.4174, 0.0671, 0.2350)  1 S 1.45
O (0.5942, 0.4598, 0.9217)  1 S 1.53
O (0.8827, 0.4378, 0.9264)  1 S 1.51
O (0.5615, 0.1444, 0.9272)  1 Si 1.72, 1 Ta 1.85
O (0.5829, 0.1444, 0.4272)  1 Si 1.72, 1 Ta 1.85
O (0.5551, 0.4378, 0.4264)  1 S 1.51
O (0.8656, 0.4598, 0.4217)  1 S 1.53
O (0.3196, 0.4283, 0.0674)  1 Si 1.59
O (0.0893, 0.6830, 0.0716)  1 S 1.47
O (0.5943, 0.9151, 0.0672)  1 S 1.45
O (0.3209, 0.9151, 0.5672)  1 S 1.45
O (0.5937, 0.6830, 0.5716)  1 S 1.47
O (0.1087, 0.4283, 0.5674)  1 Si 1.59
O (0.2395, 0.7772, 0.2561)  1 S 1.53
O (0.5393, 0.7533, 0.2588)  1 S 1.54
O (0.2185, 0.4758, 0.2632)  1 Si 1.68
O (0.2573, 0.4758, 0.7632)  1 Si 1.68
O (0.2140, 0.7533, 0.7588)  1 S 1.54
O (0.5377, 0.7772, 0.7561)  1 S 1.53